Material: Ce2US5
Method: DFT, PBE
State: relaxed

a b c (Å): 11.785 8.079 7.433
angles (deg): 90.00 90.00 90.00
Fractional positions:
Ce1 0.176 0.001 0.031
Ce2 0.176 0.499 0.031
Ce3 0.324 0.501 0.531
Ce4 0.324 0.999 0.531
Ce5 0.676 0.001 0.469
Ce6 0.676 0.499 0.469
Ce7 0.824 0.501 0.969
Ce8 0.824 0.999 0.969
U1 0.007 0.250 0.568
U2 0.493 0.750 0.068
U3 0.507 0.250 0.932
U4 0.993 0.750 0.432
S1 0.001 0.250 0.953
S2 0.093 0.540 0.667
S3 0.093 0.960 0.667
S4 0.190 0.250 0.336
S5 0.215 0.750 0.311
S6 0.285 0.250 0.811
S7 0.310 0.750 0.836
S8 0.407 0.040 0.167
S9 0.407 0.460 0.167
S10 0.499 0.750 0.453
S11 0.501 0.250 0.547
S12 0.593 0.540 0.833
S13 0.593 0.960 0.833
S14 0.690 0.250 0.164
S15 0.715 0.750 0.189
S16 0.785 0.250 0.689
S17 0.810 0.750 0.664
S18 0.907 0.040 0.333
S19 0.907 0.460 0.333
S20 0.999 0.750 0.047

As for the crystal system: orthorhombic. As for the formation energy: -2139 meV per atom. As for the density: 6.369 g/cm3.